Entry 1:
Computed, not measured: crystalline CsS at its relaxed geometry at the r2SCAN level of DFT.

Geometry as POSCAR:
```
CsS
1.0
-3.986 -1.344 3.132
0.839 1.549 6.122
-3.850 4.829 1.563
S Cs
2 2
Direct
0.000 0.144 0.856
0.000 0.856 0.144
0.731 0.769 0.769
0.269 0.231 0.231
```

Calculated values
- total moment (μB per atom) = 0.0000
- crystal system = orthorhombic
- E_form (eV/atom) = -1.108



Entry 2:
Computed, not measured: crystalline Cs2S3 at its relaxed geometry at the r2SCAN level of DFT.

Geometry as POSCAR:
```
Cs2S3
1.0
2.647 4.937 -3.765
1.101 -5.975 -2.941
-7.097 0.698 -4.075
S Cs
6 4
Direct
0.618 0.948 0.646
0.948 0.618 0.146
0.052 0.382 0.646
0.794 0.206 0.508
0.206 0.794 0.008
0.382 0.052 0.146
0.570 0.430 0.810
0.103 0.897 0.530
0.430 0.570 0.310
0.897 0.103 0.030
```

Calculated values
- total moment (μB per atom) = 0.0000
- crystal system = orthorhombic
- E_form (eV/atom) = -0.970